#P
Ba2Nd2MgFe4O10: optimized geometry, GGA+U.

## Properties
ρ = 5.31 g/cm3
Volume = 15.99 Å³ per atom
SG = Pm

a = 7.9154 Å, b = 3.8213 Å, c = 10.0830 Å
α = 90.00°, β = 94.99°, γ = 90.00°
Sites, in units of the cell vectors:
Ba1 0.0000 0.0000 0.0000
Ba2 0.4948 0.0000 0.0617
Nd1 0.0016 0.0000 0.6490
Nd2 0.5119 0.0000 0.5384
Mg1 0.0075 0.0000 0.3354
Fe1 0.2626 0.5000 0.3100
Fe2 0.2986 0.5000 0.7964
Fe3 0.6827 0.5000 0.7997
Fe4 0.7549 0.5000 0.3628
O1 0.0297 0.5000 0.7667
O2 0.2213 0.0000 0.4419
O3 0.2658 0.5000 0.1172
O4 0.2782 0.0000 0.8400
O5 0.4702 0.5000 0.6650
O6 0.5177 0.5000 0.3796
O7 0.7388 0.5000 0.9937
O8 0.7403 0.0000 0.7326
O9 0.8092 0.0000 0.4450
O10 0.9745 0.5000 0.2790


#Q
Ba2Nd2MgFe4O10: optimized geometry, GGA+U.

## Properties
ρ = 5.25 g/cm3
Volume = 16.16 Å³ per atom
SG = Pm

a = 7.8560 Å, b = 3.6056 Å, c = 11.0404 Å
α = 90.00°, β = 100.88°, γ = 90.00°
Sites, in units of the cell vectors:
Ba1 0.0000 0.0000 0.0000
Ba2 0.0734 0.0000 0.3743
Nd1 0.4454 0.0000 0.9316
Nd2 0.5589 0.0000 0.4208
Mg1 0.9758 0.0000 0.7042
Fe1 0.2914 0.5000 0.1851
Fe2 0.3065 0.5000 0.6345
Fe3 0.6889 0.5000 0.7075
Fe4 0.7427 0.5000 0.1723
O1 0.0134 0.5000 0.1866
O2 0.1858 0.0000 0.6355
O3 0.2870 0.5000 0.9963
O4 0.3406 0.0000 0.2392
O5 0.3588 0.5000 0.4612
O6 0.4915 0.5000 0.7988
O7 0.6909 0.0000 0.0783
O8 0.7161 0.5000 0.3506
O9 0.7216 0.0000 0.6260
O10 0.9482 0.5000 0.7913


Computed stability ranking, most favorable first: #Q, #P


#P
Ba2MgFe4O8: optimized geometry, GGA+U.

## Properties
ρ = 3.93 g/cm3
Volume = 18.34 Å³ per atom
SG = P321

a = 5.5104 Å, b = 5.5104 Å, c = 10.4625 Å
α = 90.00°, β = 90.00°, γ = 120.00°
Sites, in units of the cell vectors:
Ba1 0.0000 0.0000 0.1814
Ba2 0.0000 0.0000 0.8186
Mg1 0.0000 0.0000 0.5000
Fe1 0.3333 0.6667 0.5729
Fe2 0.3333 0.6667 0.9433
Fe3 0.6667 0.3333 0.0567
Fe4 0.6667 0.3333 0.4271
O1 0.0000 0.3414 0.5000
O2 0.0000 0.6754 0.0000
O3 0.3246 0.3246 0.0000
O4 0.3333 0.6667 0.7580
O5 0.3414 0.0000 0.5000
O6 0.6586 0.6586 0.5000
O7 0.6667 0.3333 0.2420
O8 0.6754 0.0000 0.0000


#Q
Ba2MgFe4O8: optimized geometry, GGA+U.

## Properties
ρ = 4.27 g/cm3
Volume = 16.88 Å³ per atom
SG = P312

a = 5.6033 Å, b = 5.6033 Å, c = 9.3114 Å
α = 90.00°, β = 90.00°, γ = 120.00°
Sites, in units of the cell vectors:
Ba1 0.0000 0.0000 0.0000
Ba2 0.0000 0.0000 0.5000
Mg1 0.6667 0.3333 0.0000
Fe1 0.3333 0.6667 0.2043
Fe2 0.3333 0.6667 0.7957
Fe3 0.6667 0.3333 0.2995
Fe4 0.6667 0.3333 0.7005
O1 0.0031 0.3347 0.7466
O2 0.0031 0.6685 0.2534
O3 0.3315 0.3347 0.2534
O4 0.3315 0.9969 0.7466
O5 0.3333 0.6667 0.0000
O6 0.6653 0.6685 0.7466
O7 0.6653 0.9969 0.2534
O8 0.6667 0.3333 0.5000


Computed stability ranking, most favorable first: #P, #Q


#P
BaMg14FeO16: optimized geometry, GGA+U.

## Properties
ρ = 3.80 g/cm3
Volume = 10.77 Å³ per atom
SG = P4/mmm

a = 8.7449 Å, b = 8.7449 Å, c = 4.5075 Å
α = 90.00°, β = 90.00°, γ = 90.00°
Sites, in units of the cell vectors:
Ba1 0.0000 0.0000 0.0000
Mg1 0.0000 0.2647 0.5000
Mg2 0.0000 0.5000 0.0000
Mg3 0.0000 0.7353 0.5000
Mg4 0.2532 0.5000 0.5000
Mg5 0.2584 0.2584 0.0000
Mg6 0.2584 0.7416 0.0000
Mg7 0.2647 0.0000 0.5000
Mg8 0.5000 0.0000 0.0000
Mg9 0.5000 0.2532 0.5000
Mg10 0.5000 0.7468 0.5000
Mg11 0.7353 0.0000 0.5000
Mg12 0.7416 0.2584 0.0000
Mg13 0.7416 0.7416 0.0000
Mg14 0.7468 0.5000 0.5000
Fe1 0.5000 0.5000 0.0000
O1 0.0000 0.0000 0.5000
O2 0.0000 0.2807 0.0000
O3 0.0000 0.5000 0.5000
O4 0.0000 0.7193 0.0000
O5 0.2512 0.2512 0.5000
O6 0.2512 0.7488 0.5000
O7 0.2534 0.5000 0.0000
O8 0.2807 0.0000 0.0000
O9 0.5000 0.0000 0.5000
O10 0.5000 0.2534 0.0000
O11 0.5000 0.5000 0.5000
O12 0.5000 0.7466 0.0000
O13 0.7193 0.0000 0.0000
O14 0.7466 0.5000 0.0000
O15 0.7488 0.2512 0.5000
O16 0.7488 0.7488 0.5000


#Q
BaMg14FeO16: optimized geometry, GGA+U.

## Properties
ρ = 3.79 g/cm3
Volume = 10.81 Å³ per atom
SG = Pmmm

a = 4.5207 Å, b = 8.7225 Å, c = 8.7752 Å
α = 90.00°, β = 90.00°, γ = 90.00°
Sites, in units of the cell vectors:
Ba1 0.0000 0.0000 0.0000
Mg1 0.0000 0.0000 0.5000
Mg2 0.0000 0.2585 0.2611
Mg3 0.0000 0.2585 0.7389
Mg4 0.0000 0.5000 0.5000
Mg5 0.0000 0.7415 0.2611
Mg6 0.0000 0.7415 0.7389
Mg7 0.5000 0.0000 0.2646
Mg8 0.5000 0.0000 0.7354
Mg9 0.5000 0.2531 0.5000
Mg10 0.5000 0.2640 0.0000
Mg11 0.5000 0.5000 0.2513
Mg12 0.5000 0.5000 0.7487
Mg13 0.5000 0.7360 0.0000
Mg14 0.5000 0.7469 0.5000
Fe1 0.0000 0.5000 0.0000
O1 0.0000 0.0000 0.2807
O2 0.0000 0.0000 0.7193
O3 0.0000 0.2554 0.5000
O4 0.0000 0.2788 0.0000
O5 0.0000 0.5000 0.2641
O6 0.0000 0.5000 0.7359
O7 0.0000 0.7212 0.0000
O8 0.0000 0.7446 0.5000
O9 0.5000 0.0000 0.0000
O10 0.5000 0.0000 0.5000
O11 0.5000 0.2503 0.2500
O12 0.5000 0.2503 0.7500
O13 0.5000 0.5000 0.0000
O14 0.5000 0.5000 0.5000
O15 0.5000 0.7497 0.2500
O16 0.5000 0.7497 0.7500


Computed stability ranking, most favorable first: #Q, #P